Here is MnAsRu after structural relaxation from Materials Project. Energies are from PBE-GGA.

volume: 13.929 A^3/atom
DFT total energy: -69.56 eV/cell
density: 9.2 Mg/m³
size of the total moment: 6.2 Bohr magnetons per cell

Structure (CIF):
```
data_MnAsRu
_chemical_formula_sum 'Mn3 As3 Ru3'
_symmetry_space_group_name_H-M 'P 1'
_symmetry_Int_Tables_number 1
_cell_length_a 6.1446
_cell_length_b 6.1446
_cell_length_c 3.8339
_cell_angle_alpha 90.00
_cell_angle_beta 90.00
_cell_angle_gamma 120.00
loop_
_symmetry_equiv_pos_as_xyz
'x,y,z'
loop_
_atom_site_label
_atom_site_type_symbol
_atom_site_fract_x
_atom_site_fract_y
_atom_site_fract_z
Mn1 Mn 0.0000 0.7502 0.0000
Mn2 Mn 0.2498 0.2498 0.0000
Mn3 Mn 0.7502 0.0000 0.0000
As1 As 0.0000 0.0000 0.5000
As2 As 0.3333 0.6667 0.0000
As3 As 0.6667 0.3333 0.0000
Ru1 Ru 0.0000 0.4001 0.5000
Ru2 Ru 0.4001 0.0000 0.5000
Ru3 Ru 0.5999 0.5999 0.5000
```